Entry 1:
! CrH12IN4Cl2 | the Materials Project | PBE | optimized geometry; values from VASP
! - total energy after the MP2020 corrections (eV per atom) = -5.072
! - formation energy (eV per atom) = -0.62
! - space group = C2/m (12)
&SYSTEM
  ibrav = 0, nat = 20, ntyp = 5
/
ATOMIC_SPECIES
Cr 52.00 Cr.upf
H 1.01 H.upf
I 126.90 I.upf
N 14.01 N.upf
Cl 35.45 Cl.upf
CELL_PARAMETERS angstrom
5.178 -4.402 0.000
5.178 4.402 0.000
-2.181 0.000 6.330
ATOMIC_POSITIONS angstrom
Cr 0.000 0.000 0.000
H 1.566 1.165 1.811
H 1.882 2.095 5.587
H 2.933 2.544 4.401
H 5.242 2.544 1.929
H 1.566 -1.165 1.811
H 6.293 2.095 0.744
H 1.882 -2.095 5.587
H 6.610 1.165 4.519
H 2.933 -2.544 4.401
H 5.242 -2.544 1.929
H 6.293 -2.095 0.744
H 6.610 -1.165 4.519
I 4.088 0.000 3.165
N 2.233 2.903 5.068
N 5.943 2.903 1.263
N 2.233 -2.903 5.068
N 5.943 -2.903 1.263
Cl -0.176 0.000 5.164
Cl 8.352 0.000 1.167

---

Entry 2:
! ErTl | the Materials Project | PBE | optimized geometry; values from VASP
! - formation energy (eV per atom) = -0.30
! - space group = Pm-3m (221)
&SYSTEM
  ibrav = 0, nat = 2, ntyp = 2
/
ATOMIC_SPECIES
Er 167.26 Er.upf
Tl 204.38 Tl.upf
CELL_PARAMETERS angstrom
3.775 0.000 0.000
0.000 3.775 0.000
0.000 0.000 3.775
ATOMIC_POSITIONS angstrom
Er 0.000 0.000 0.000
Tl 1.888 1.888 1.888

---

Entry 3:
! GaFeNi2 | the Materials Project | PBE | optimized geometry; values from VASP
! - formation energy (eV per atom) = -0.20
! - space group = P4/mmm (123)
&SYSTEM
  ibrav = 0, nat = 4, ntyp = 3
/
ATOMIC_SPECIES
Ga 69.72 Ga.upf
Fe 55.84 Fe.upf
Ni 58.69 Ni.upf
CELL_PARAMETERS angstrom
3.639 0.000 0.000
0.000 3.639 0.000
0.000 0.000 3.588
ATOMIC_POSITIONS angstrom
Ga 0.000 0.000 0.000
Fe 1.820 1.820 0.000
Ni 0.000 1.820 1.794
Ni 1.820 0.000 1.794

---

Entry 4:
! DyScZn2 | the Materials Project | PBE | optimized geometry; values from VASP
! - formation energy (eV per atom) = -0.35
! - space group = Fm-3m (225)
&SYSTEM
  ibrav = 0, nat = 4, ntyp = 3
/
ATOMIC_SPECIES
Dy 162.50 Dy.upf
Sc 44.96 Sc.upf
Zn 65.41 Zn.upf
CELL_PARAMETERS angstrom
0.000 3.470 3.470
3.470 0.000 3.470
3.470 3.470 0.000
ATOMIC_POSITIONS angstrom
Dy 0.000 0.000 0.000
Sc 3.470 3.470 3.470
Zn 1.735 1.735 1.735
Zn 5.205 5.205 5.205